# BaTb2PdO5 | the Materials Project database | PBE | relaxed
data_BaTb2PdO5
_space_group_name_H-M_alt 'P 1'
_space_group_IT_number 1
_space_group_name_Hall 'P 1'
_cell_length_a 6.612
_cell_length_b 6.612
_cell_length_c 5.932
_cell_angle_alpha 90.00
_cell_angle_beta 90.00
_cell_angle_gamma 90.00
loop_
_atom_site_label
_atom_site_type_symbol
_atom_site_fract_x
_atom_site_fract_y
_atom_site_fract_z
Tb1 Tb 0.674 0.174 0.500
O1 O 0.641 0.859 0.741
O2 O 0.641 0.859 0.259
Pd1 Pd 0.500 0.000 0.000
Ba1 Ba 0.500 0.500 0.000
O3 O 0.500 0.500 0.500
Ba2 Ba 0.000 0.000 0.000
Tb2 Tb 0.326 0.826 0.500
O4 O 0.141 0.641 0.741
Pd2 Pd 0.000 0.500 0.000
O5 O 0.859 0.359 0.259
O6 O 0.859 0.359 0.741
O7 O 0.359 0.141 0.741
O8 O 0.359 0.141 0.259
Tb3 Tb 0.826 0.674 0.500
O9 O 0.141 0.641 0.259
Tb4 Tb 0.174 0.326 0.500
O10 O 0.000 0.000 0.500
# energy of formation	-3.0571	eV/atom

# Zr2Ti3Si3 | the Materials Project database | PBE | relaxed
data_Zr2Ti3Si3
_space_group_name_H-M_alt 'P 1'
_space_group_IT_number 1
_space_group_name_Hall 'P 1'
_cell_length_a 5.467
_cell_length_b 7.713
_cell_length_c 7.716
_cell_angle_alpha 119.99
_cell_angle_beta 90.00
_cell_angle_gamma 90.00
loop_
_atom_site_label
_atom_site_type_symbol
_atom_site_fract_x
_atom_site_fract_y
_atom_site_fract_z
Si1 Si 0.750 0.624 0.000
Zr1 Zr 0.000 0.667 0.333
Si2 Si 0.750 0.000 0.623
Ti1 Ti 0.750 0.000 0.256
Ti2 Ti 0.750 0.256 0.000
Ti3 Ti 0.250 0.744 0.000
Ti4 Ti 0.250 0.256 0.256
Ti5 Ti 0.250 0.000 0.744
Si3 Si 0.250 0.000 0.377
Si4 Si 0.750 0.377 0.377
Si5 Si 0.250 0.376 0.000
Si6 Si 0.250 0.623 0.623
Zr2 Zr 0.500 0.333 0.667
Zr3 Zr 0.000 0.333 0.667
Ti6 Ti 0.750 0.744 0.744
Zr4 Zr 0.500 0.667 0.333
# energy of formation	-0.6075	eV/atom

# RbLaMg14 | the Materials Project database | PBE | relaxed
data_RbLaMg14
_space_group_name_H-M_alt 'P 1'
_space_group_IT_number 1
_space_group_name_Hall 'P 1'
_cell_length_a 6.725
_cell_length_b 6.665
_cell_length_c 10.729
_cell_angle_alpha 90.00
_cell_angle_beta 90.00
_cell_angle_gamma 119.70
loop_
_atom_site_label
_atom_site_type_symbol
_atom_site_fract_x
_atom_site_fract_y
_atom_site_fract_z
Mg1 Mg 0.668 0.334 0.625
Mg2 Mg 0.821 0.660 0.385
Mg3 Mg 0.665 0.836 0.125
Mg4 Mg 0.668 0.835 0.625
Mg5 Mg 0.821 0.660 0.865
Mg6 Mg 0.341 0.664 0.856
Mg7 Mg 0.341 0.177 0.394
Mg8 Mg 0.665 0.330 0.125
Mg9 Mg 0.162 0.331 0.625
La1 La 0.173 0.337 0.125
Rb1 Rb 0.169 0.834 0.125
Mg10 Mg 0.830 0.165 0.871
Mg11 Mg 0.341 0.177 0.856
Mg12 Mg 0.341 0.664 0.394
Mg13 Mg 0.830 0.165 0.379
Mg14 Mg 0.165 0.832 0.625
# distance to the lowest polymorph of the same formula	16	meV per atom
# energy of formation	0.1369	eV/atom